30
Lattice="5.774 0.000 0.000 -2.877 5.041 0.000 0.000 -0.110 9.502" Properties=species:S:1:pos:R:3 comment="Li6Mn3Cr2Fe3O16, relaxed, DFT PBE+U" e_form_ev_per_atom=-2.002 sg=P1 total_magnetization_mub_per_cell=31.00 e_tot_ev_per_cell=-196.13 relative_energy_mev_per_atom=23 pbc="T T T"
Li 0.000 0.000 0.000
Li -1.384 2.350 9.463
Li -1.393 4.141 4.710
Li 1.399 2.347 9.459
Li 2.890 1.504 4.681
Li 1.422 4.149 4.706
Mn 1.438 2.371 6.893
Mn 2.892 1.554 2.128
Mn 4.350 2.373 6.894
Cr 0.006 1.572 4.281
Cr 0.009 4.853 9.039
Fe -1.420 4.118 2.163
Fe 1.442 4.119 2.160
Fe 2.892 4.911 6.927
O -1.452 3.980 8.049
O 0.004 1.623 7.978
O 0.008 3.088 5.714
O 1.312 0.860 5.656
O 0.012 3.502 0.860
O 1.608 0.743 0.887
O 1.488 2.385 3.297
O 2.892 -0.033 3.266
O 1.470 3.985 8.038
O 2.894 1.586 7.981
O 4.171 0.744 0.882
O 2.896 3.153 5.862
O 2.896 3.221 1.107
O 4.470 0.868 5.647
O 4.302 2.390 3.297
O 2.898 4.920 3.338